Compound: LiCr2P3O12
Source: the Materials Project database
Functional: PBE with a Hubbard U
Structure: relaxed

Calculated values
ρ in g/cm³: 2.97
Relative energy among the computed polymorphs in meV/atom: 11.4

abc: 8.2384 8.3167 8.8154
angles: 62.13 62.45 60.59
Fractional coordinates of all 36 atoms:
Li  0.2560  0.9234  0.1360
Li  0.7440  0.0766  0.8640
Cr  0.8567  0.8529  0.4307
Cr  0.3493  0.3566  0.9433
Cr  0.6507  0.6434  0.0567
Cr  0.1433  0.1471  0.5693
P  0.7491  0.4666  0.7517
P  0.4626  0.0321  0.7518
P  0.0352  0.7510  0.7487
P  0.9648  0.2490  0.2513
P  0.5374  0.9679  0.2482
P  0.2509  0.5334  0.2483
O  0.9892  0.2015  0.4339
O  0.5344  0.4904  0.7977
O  0.1746  0.5414  0.7970
O  0.8254  0.4586  0.2030
O  0.1174  0.7404  0.2606
O  0.8303  0.7902  0.8962
O  0.1697  0.2098  0.1038
O  0.7801  0.4918  0.8992
O  0.8826  0.2596  0.7394
O  0.0108  0.7985  0.5661
O  0.2199  0.5082  0.1008
O  0.1919  0.3837  0.4290
O  0.5398  0.1546  0.0822
O  0.4884  0.1766  0.7980
O  0.5116  0.8234  0.2020
O  0.2587  0.1177  0.7279
O  0.6242  0.9955  0.5803
O  0.7413  0.8823  0.2721
O  0.8923  0.0982  0.2733
O  0.4656  0.5095  0.2023
O  0.8081  0.6163  0.5710
O  0.4602  0.8454  0.9178
O  0.1077  0.9018  0.7267
O  0.3758  0.0045  0.4197


Compound: Ca3Fe3Sb2O12
Source: the Materials Project database
Functional: PBE with a Hubbard U
Structure: relaxed

Calculated values
ρ in g/cm³: 4.57

abc: 11.0912 11.0912 11.0912
angles: 109.47 109.47 109.47
Fractional coordinates of all 80 atoms:
Ca  0.2500  0.3750  0.1250
Ca  0.7500  0.6250  0.8750
Ca  0.7500  0.1250  0.3750
Ca  0.1250  0.2500  0.3750
Ca  0.3750  0.7500  0.1250
Ca  0.2500  0.8750  0.6250
Ca  0.8750  0.7500  0.6250
Ca  0.6250  0.2500  0.8750
Ca  0.3750  0.1250  0.2500
Ca  0.6250  0.8750  0.7500
Ca  0.1250  0.3750  0.7500
Ca  0.8750  0.6250  0.2500
Fe  0.2500  0.6250  0.3750
Fe  0.7500  0.3750  0.6250
Fe  0.7500  0.8750  0.1250
Fe  0.3750  0.2500  0.6250
Fe  0.6250  0.7500  0.3750
Fe  0.2500  0.1250  0.8750
Fe  0.1250  0.7500  0.8750
Fe  0.8750  0.2500  0.1250
Fe  0.6250  0.3750  0.2500
Fe  0.3750  0.6250  0.7500
Fe  0.8750  0.1250  0.7500
Fe  0.1250  0.8750  0.2500
Sb  0.0000  0.0000  0.0000
Sb  0.5000  0.0000  0.5000
Sb  0.0000  0.5000  0.5000
Sb  0.5000  0.0000  0.0000
Sb  0.5000  0.5000  0.0000
Sb  0.5000  0.5000  0.5000
Sb  0.0000  0.0000  0.5000
Sb  0.0000  0.5000  0.0000
O  0.4768  0.3804  0.3017
O  0.5232  0.6196  0.6983
O  0.5788  0.1751  0.1983
O  0.9212  0.1196  0.5964
O  0.3017  0.4768  0.3804
O  0.3249  0.9212  0.3017
O  0.4212  0.8249  0.8017
O  0.0788  0.8804  0.4036
O  0.6983  0.5232  0.6196
O  0.6751  0.0788  0.6983
O  0.0232  0.3249  0.9036
O  0.1983  0.5788  0.1751
O  0.1196  0.0232  0.1983
O  0.9768  0.6751  0.0964
O  0.8017  0.4212  0.8249
O  0.8804  0.9768  0.8017
O  0.5964  0.9212  0.1196
O  0.1751  0.4768  0.5964
O  0.4036  0.0788  0.8804
O  0.8249  0.5232  0.4036
O  0.9036  0.0232  0.3249
O  0.3804  0.5788  0.9036
O  0.0964  0.9768  0.6751
O  0.6196  0.4212  0.0964
O  0.3804  0.3017  0.4768
O  0.5788  0.9036  0.3804
O  0.6196  0.6983  0.5232
O  0.4212  0.0964  0.6196
O  0.1196  0.5964  0.9212
O  0.0232  0.1983  0.1196
O  0.8804  0.4036  0.0788
O  0.9768  0.8017  0.8804
O  0.3249  0.9036  0.0232
O  0.9212  0.3017  0.3249
O  0.6751  0.0964  0.9768
O  0.0788  0.6983  0.6751
O  0.1751  0.1983  0.5788
O  0.4768  0.5964  0.1751
O  0.8249  0.8017  0.4212
O  0.5232  0.4036  0.8249
O  0.3017  0.3249  0.9212
O  0.6983  0.6751  0.0788
O  0.1983  0.1196  0.0232
O  0.8017  0.8804  0.9768
O  0.9036  0.3804  0.5788
O  0.0964  0.6196  0.4212
O  0.5964  0.1751  0.4768
O  0.4036  0.8249  0.5232


Compound: Li4Fe3CoP4O16
Source: the Materials Project database
Functional: PBE with a Hubbard U
Structure: relaxed

Calculated values
ρ in g/cm³: 3.52

abc: 6.0598 4.7408 10.4013
angles: 89.90 90.00 90.00
Fractional coordinates of all 28 atoms:
Li  0.2497  0.0003  0.0005
Li  0.7503  0.0003  0.0005
Li  0.7502  0.5000  0.4996
Li  0.2498  0.5000  0.4996
Fe  0.0000  0.4745  0.7815
Fe  0.5000  0.5252  0.2195
Fe  0.5000  0.9741  0.7180
Co  0.0000  0.0244  0.2803
P  0.5000  0.0829  0.4047
P  0.5000  0.4176  0.9055
P  0.0000  0.5824  0.0953
P  0.0000  0.9177  0.5941
O  0.5000  0.2062  0.5436
O  0.2958  0.2170  0.3341
O  0.7042  0.2170  0.3341
O  0.0000  0.2420  0.5975
O  0.0000  0.2580  0.0977
O  0.2962  0.2830  0.8345
O  0.7038  0.2830  0.8345
O  0.5000  0.2936  0.0438
O  0.0000  0.7065  0.9565
O  0.7962  0.7172  0.1660
O  0.2038  0.7172  0.1660
O  0.5000  0.7420  0.9026
O  0.5000  0.7583  0.4027
O  0.7962  0.7829  0.6656
O  0.2038  0.7829  0.6656
O  0.0000  0.7939  0.4560


Compound: CrF4
Source: the Materials Project database
Functional: PBE with a Hubbard U
Structure: relaxed

Calculated values
ρ in g/cm³: 3.09

abc: 9.1063 9.1063 7.3695
angles: 79.49 79.49 67.43
Fractional coordinates of all 40 atoms:
Cr  0.2571  0.7474  0.5021
Cr  0.8177  0.8143  0.1054
Cr  0.1857  0.1823  0.3946
Cr  0.8143  0.8177  0.6054
Cr  0.1823  0.1857  0.8946
Cr  0.7474  0.2571  0.0021
Cr  0.7429  0.2526  0.4979
Cr  0.2526  0.7429  0.9979
F  0.2435  0.9596  0.0006
F  0.0249  0.8381  0.0963
F  0.1619  0.9751  0.4037
F  0.7611  0.8825  0.3518
F  0.1175  0.2389  0.1482
F  0.6231  0.8248  0.1030
F  0.5450  0.3182  0.0913
F  0.2389  0.1175  0.6482
F  0.4550  0.6818  0.9087
F  0.9596  0.2435  0.5006
F  0.0950  0.3864  0.8068
F  0.8116  0.1884  0.2500
F  0.2264  0.5611  0.0124
F  0.7736  0.4389  0.9876
F  0.9050  0.6136  0.1932
F  0.6918  0.3082  0.7500
F  0.1884  0.8116  0.7500
F  0.1752  0.3769  0.3970
F  0.0404  0.7565  0.4994
F  0.9751  0.1619  0.9037
F  0.8381  0.0249  0.5963
F  0.4389  0.7736  0.4876
F  0.8248  0.6231  0.6030
F  0.3864  0.0950  0.3068
F  0.3769  0.1752  0.8970
F  0.3082  0.6918  0.2500
F  0.8825  0.7611  0.8518
F  0.7565  0.0404  0.9994
F  0.5611  0.2264  0.5124
F  0.3182  0.5450  0.5913
F  0.6136  0.9050  0.6932
F  0.6818  0.4550  0.4087


| no. | formation energy from the elements (eV per atom) | M_tot (μB per atom) |
| --- | --- | --- |
| 1 | -2.456 | 0.222 |
| 2 | -2.337 | 0.700 |
| 3 | -2.451 | 0.537 |
| 4 | -2.606 | 0.400 |